The following is a PBE+U calculation of a relaxed LiMnPO5 crystal, from the Materials Project.

```
data_LiMnPO5
_chemical_formula_sum 'Li4 Mn4 P4 O20'
_cell_length_a 6.708
_cell_length_b 6.942
_cell_length_c 8.013
_cell_angle_alpha 89.80
_cell_angle_beta 88.70
_cell_angle_gamma 63.69
_symmetry_space_group_name_H-M 'P -1'
_symmetry_Int_Tables_number 2
_symmetry_space_group_name_Hall '-P 1'
loop_
_atom_site_label
_atom_site_type_symbol
_atom_site_fract_x
_atom_site_fract_y
_atom_site_fract_z
Li1 Li 0.211 0.297 0.434
Li2 Li 0.278 0.777 0.067
Mn1 Mn 0.254 0.497 0.753
Mn2 Mn 0.254 0.997 0.748
P1 P 0.239 0.745 0.416
P2 P 0.260 0.254 0.084
O1 O 0.054 0.422 0.180
O2 O 0.071 0.871 0.280
O3 O 0.144 0.619 0.529
O4 O 0.211 0.090 0.984
O5 O 0.233 0.756 0.832
O6 O 0.269 0.242 0.669
O7 O 0.302 0.895 0.520
O8 O 0.364 0.367 0.969
O9 O 0.421 0.140 0.228
O10 O 0.439 0.584 0.311
```

The energy above the most stable polymorph in this dataset comes out at 11 meV/atom. As for the formation enthalpy at 0 K: -225.5 kJ per mole of atoms.

The following is a PBE+U calculation of a relaxed Li3Mn2P4O14 crystal, from the Materials Project.

```
data_Li3Mn2P4O14
_chemical_formula_sum 'Li12 Mn8 P16 O56'
_cell_length_a 9.841
_cell_length_b 9.871
_cell_length_c 11.370
_cell_angle_alpha 89.88
_cell_angle_beta 76.49
_cell_angle_gamma 89.94
_symmetry_space_group_name_H-M 'P 1'
_symmetry_Int_Tables_number 1
_symmetry_space_group_name_Hall 'P 1'
loop_
_atom_site_label
_atom_site_type_symbol
_atom_site_fract_x
_atom_site_fract_y
_atom_site_fract_z
Li1 Li 0.000 0.000 0.000
Li2 Li 0.013 0.013 0.498
Li3 Li 0.191 0.513 0.578
Li4 Li 0.238 0.813 0.487
Li5 Li 0.261 0.201 0.068
Li6 Li 0.436 0.986 0.012
Li7 Li 0.501 0.686 0.996
Li8 Li 0.523 0.669 0.494
Li9 Li 0.680 0.169 0.583
Li10 Li 0.763 0.482 0.067
Li11 Li 0.938 0.696 0.010
Li12 Li 0.965 0.313 0.588
Mn1 Mn 0.055 0.514 0.358
Mn2 Mn 0.095 0.310 0.867
Mn3 Mn 0.101 0.807 0.216
Mn4 Mn 0.148 0.016 0.714
Mn5 Mn 0.553 0.168 0.365
Mn6 Mn 0.587 0.374 0.868
Mn7 Mn 0.607 0.879 0.216
Mn8 Mn 0.650 0.666 0.707
P1 P 0.231 0.239 0.459
P2 P 0.231 0.800 0.931
P3 P 0.287 0.022 0.281
P4 P 0.328 0.546 0.791
P5 P 0.374 0.641 0.282
P6 P 0.411 0.161 0.795
P7 P 0.470 0.381 0.154
P8 P 0.474 0.943 0.611
P9 P 0.730 0.442 0.463
P10 P 0.731 0.884 0.929
P11 P 0.787 0.660 0.281
P12 P 0.824 0.142 0.797
P13 P 0.869 0.046 0.287
P14 P 0.911 0.522 0.795
P15 P 0.968 0.300 0.150
P16 P 0.972 0.738 0.615
O1 O 0.014 0.415 0.726
O2 O 0.035 0.419 0.203
O3 O 0.036 0.879 0.621
O4 O 0.072 0.653 0.519
O5 O 0.074 0.229 0.043
O6 O 0.120 0.743 0.038
O7 O 0.131 0.155 0.557
O8 O 0.168 0.381 0.455
O9 O 0.171 0.926 0.880
O10 O 0.183 0.916 0.352
O11 O 0.221 0.630 0.262
O12 O 0.228 0.169 0.331
O13 O 0.250 0.444 0.883
O14 O 0.253 0.692 0.821
O15 O 0.267 0.182 0.766
O16 O 0.283 0.023 0.150
O17 O 0.322 0.930 0.596
O18 O 0.333 0.524 0.661
O19 O 0.334 0.354 0.122
O20 O 0.371 0.819 0.961
O21 O 0.374 0.679 0.410
O22 O 0.383 0.243 0.468
O23 O 0.409 0.153 0.929
O24 O 0.433 0.006 0.307
O25 O 0.447 0.496 0.261
O26 O 0.458 0.736 0.184
O27 O 0.468 0.014 0.740
O28 O 0.482 0.560 0.818
O29 O 0.523 0.266 0.735
O30 O 0.533 0.802 0.623
O31 O 0.537 0.266 0.211
O32 O 0.565 0.036 0.516
O33 O 0.574 0.449 0.042
O34 O 0.621 0.940 0.038
O35 O 0.639 0.533 0.558
O36 O 0.670 0.761 0.876
O37 O 0.673 0.300 0.454
O38 O 0.676 0.763 0.344
O39 O 0.715 0.058 0.268
O40 O 0.733 0.512 0.334
O41 O 0.739 0.245 0.885
O42 O 0.749 0.997 0.821
O43 O 0.764 0.507 0.769
O44 O 0.790 0.654 0.147
O45 O 0.821 0.744 0.604
O46 O 0.832 0.171 0.664
O47 O 0.833 0.326 0.116
O48 O 0.871 0.865 0.957
O49 O 0.875 0.013 0.413
O50 O 0.884 0.434 0.475
O51 O 0.914 0.524 0.927
O52 O 0.932 0.680 0.311
O53 O 0.941 0.192 0.261
O54 O 0.949 0.952 0.186
O55 O 0.972 0.669 0.744
O56 O 0.973 0.129 0.825
```

The energy above the most stable polymorph in this dataset comes out at 26 meV/atom. As for the formation enthalpy at 0 K: -250.0 kJ per mole of atoms.

What magnetic moment values result from the calculations? In sequence: 12.001, 35.995 Bohr magnetons per cell.